# 1
A relaxed ZrSnTe crystal, computed with r²SCAN.

```
ZrSnTe
1.0
-3.5543 1.4428 1.4392
1.3719 -0.4455 3.8348
3.2314 8.1674 -0.2071
Te Sn Zr
2 2 2
Direct
0.2500 0.2500 0.6194
0.7500 0.7500 0.3806
0.7500 0.2500 0.0000
0.2500 0.7500 0.0000
0.2500 0.2500 0.2636
0.7500 0.7500 0.7364
```

## Properties
- E_form: -786 meV per atom
- Theoretical density: 7.6 g/cm3
- Crystal system: tetragonal

***

# 2
A relaxed CsLiMoO4 crystal, computed with r²SCAN.

```
CsLiMoO4
1.0
-3.0982 -2.2515 -4.5327
-4.6917 2.9384 -2.1371
0.2840 2.5557 -5.3480
Mo O Li Cs
1 4 1 1
Direct
0.7500 0.7500 0.7500
0.6288 0.6288 0.1136
0.6288 0.1136 0.6288
0.6288 0.6288 0.6288
0.1136 0.6288 0.6288
0.5000 0.5000 0.5000
0.2500 0.2500 0.2500
```

## Properties
- E_form: -2352 meV per atom
- Theoretical density: 3.4 g/cm3
- Crystal system: cubic

***

# 3
A relaxed As2O3 crystal, computed with r²SCAN.

```
As2O3
1.0
0.0000 4.5915 0.0000
8.0482 0.0000 7.4360
7.6625 0.0000 -10.9769
As O
16 24
Direct
0.6687 0.6576 0.4616
0.1687 0.3424 0.0384
0.6687 0.0913 0.7191
0.3313 0.3424 0.5384
0.6680 0.1557 0.9564
0.3320 0.8443 0.0436
0.8313 0.0913 0.2191
0.7682 0.5963 0.7246
0.1687 0.9087 0.7809
0.2682 0.4037 0.7754
0.8313 0.6576 0.9616
0.2318 0.4037 0.2754
0.7318 0.5963 0.2246
0.8320 0.1557 0.4564
0.3313 0.9087 0.2809
0.1680 0.8443 0.5436
0.8477 0.2011 0.3313
0.0453 0.6966 0.4825
0.5453 0.3034 0.0175
0.8987 0.4871 0.2979
0.6980 0.9647 0.2818
0.1362 0.3009 0.1646
0.1523 0.7989 0.6687
0.4547 0.6966 0.9825
0.6362 0.6991 0.3354
0.1013 0.5129 0.7021
0.8638 0.6991 0.8354
0.9547 0.3034 0.5175
0.3020 0.0353 0.7182
0.1980 0.0353 0.2182
0.0448 0.1931 0.9801
0.4552 0.1931 0.4801
0.5448 0.8069 0.5199
0.3638 0.3009 0.6646
0.6013 0.4871 0.7979
0.3477 0.7989 0.1687
0.8020 0.9647 0.7818
0.9552 0.8069 0.0199
0.6523 0.2011 0.8313
0.3987 0.5129 0.2021
```

## Properties
- E_form: -1279 meV per atom
- Theoretical density: 3.9 g/cm3
- Crystal system: monoclinic

***

# 4
A relaxed LaCu2O4 crystal, computed with r²SCAN.

```
LaCu2O4
1.0
5.2182 0.0481 -2.6002
-1.5091 5.0507 -2.6704
-0.0147 -0.0252 6.3776
O Cu La
8 4 2
Direct
0.4635 0.8528 0.6551
0.8505 0.1758 0.1485
0.1495 0.8242 0.8515
0.2980 0.4727 0.1485
0.1914 0.3023 0.6550
0.8086 0.6977 0.3450
0.5365 0.1472 0.3449
0.7020 0.5273 0.8515
0.5000 0.5000 0.5000
0.0000 0.5000 0.5000
0.5000 0.5000 0.0000
0.5000 0.0000 0.0000
0.1254 0.8754 0.2507
0.8746 0.1246 0.7493
```

## Properties
- E_form: -1885 meV per atom
- Theoretical density: 6.5 g/cm3
- Crystal system: monoclinic

***

# 5
A relaxed LuMn2Si2 crystal, computed with r²SCAN.

```
LuMn2Si2
1.0
-1.9131 1.9131 5.1889
1.9131 -1.9131 5.1889
1.9131 1.9131 -5.1889
Mn Si Lu
2 2 1
Direct
0.7500 0.2500 0.5000
0.2500 0.7500 0.5000
0.6156 0.6156 0.0000
0.3844 0.3844 0.0000
0.0000 0.0000 0.0000
```

## Properties
- E_form: -663 meV per atom
- Theoretical density: 7.5 g/cm3
- Crystal system: tetragonal

***

# 6
A relaxed KMnF3 crystal, computed with r²SCAN.

```
KMnF3
1.0
-5.2399 -1.7373 2.0129
1.9193 -5.5498 0.2063
2.9785 4.2463 2.8418
Mn F K
2 6 2
Direct
0.5000 0.5000 0.0000
0.0000 0.0000 0.0000
0.7500 0.7500 0.5000
0.2856 0.2144 0.0000
0.7144 0.7856 0.0000
0.2144 0.7144 0.0000
0.2500 0.2500 0.5000
0.7856 0.2856 0.0000
0.2500 0.7500 0.5000
0.7500 0.2500 0.5000
```

## Properties
- E_form: -3010 meV per atom
- Theoretical density: 3.5 g/cm3
- Crystal system: tetragonal

***

# 7
A relaxed UNi3P2 crystal, computed with r²SCAN.

```
UNi3P2
1.0
-3.5496 -1.0258 0.7091
3.3868 -9.1526 3.7128
0.8445 4.9062 11.3242
Ni P U
18 12 6
Direct
0.2491 0.5000 0.9863
0.7549 0.3052 0.4261
0.2491 0.1670 0.0031
0.2516 0.0000 0.8416
0.2549 0.8052 0.5739
0.7491 0.6670 0.9969
0.7590 0.5000 0.6979
0.2549 0.1948 0.5739
0.7516 0.5000 0.1584
0.2543 0.6215 0.2904
0.7491 0.3330 0.9969
0.7543 0.1215 0.7096
0.2491 0.8330 0.0031
0.7549 0.6948 0.4261
0.2590 0.0000 0.3021
0.2543 0.3785 0.2904
0.7491 0.0000 0.0137
0.7543 0.8785 0.7096
0.2533 0.0000 0.6604
0.7533 0.5000 0.3396
0.2516 0.8104 0.3894
0.7496 0.5000 0.8788
0.7516 0.6896 0.6106
0.7488 0.1531 0.8931
0.2516 0.1896 0.3894
0.2488 0.6531 0.1069
0.7516 0.3104 0.6106
0.2488 0.3469 0.1069
0.2496 0.0000 0.1212
0.7488 0.8469 0.8931
0.7510 0.0000 0.4809
0.2510 0.5000 0.5191
0.7508 0.1849 0.2055
0.7508 0.8151 0.2055
0.2508 0.6849 0.7945
0.2508 0.3151 0.7945
```

## Properties
- E_form: -826 meV per atom
- Theoretical density: 9.8 g/cm3
- Crystal system: orthorhombic

***

# 8
A relaxed SiO2 crystal, computed with r²SCAN.

```
SiO2
1.0
13.0342 0.0000 0.0000
-6.5171 11.2881 0.0001
0.0000 0.0001 7.5968
O Si
36 18
Direct
0.0965 0.1930 0.7573
0.3185 0.3387 0.3157
0.8690 0.7380 0.2439
0.6466 0.9650 0.3157
0.2227 0.4454 0.4899
0.3185 0.9650 0.6641
0.8690 0.1163 0.7358
0.2474 0.1163 0.2440
0.2703 0.2651 0.9899
0.7203 0.9904 0.9899
0.7923 0.8888 0.2224
0.3185 0.3388 0.6641
0.2227 0.7626 0.4899
0.2703 0.9904 0.9899
0.2474 0.1163 0.7358
0.8690 0.1163 0.2440
0.0805 0.5329 0.4899
0.5399 0.7626 0.4899
0.6466 0.9650 0.6641
0.0203 0.6668 0.6641
0.0204 0.6668 0.3157
0.0965 0.1930 0.2224
0.0966 0.8888 0.7574
0.0966 0.8888 0.2224
0.4525 0.5329 0.4899
0.0204 0.3388 0.6641
0.9949 0.7151 0.9899
0.7923 0.8888 0.7574
0.6466 0.6668 0.3157
0.3185 0.9650 0.3157
0.0204 0.3387 0.3157
0.6466 0.6668 0.6641
0.7202 0.7151 0.9899
0.9949 0.2651 0.9899
0.8690 0.7380 0.7358
0.4525 0.9048 0.4899
0.7570 0.9902 0.1927
0.2333 0.9902 0.7871
0.7570 0.7520 0.7871
0.3275 0.4136 0.4899
0.3275 0.8991 0.4899
0.9951 0.2283 0.1927
0.2333 0.9902 0.1927
0.9952 0.2284 0.7870
0.7570 0.7520 0.1927
0.5717 0.6578 0.4899
0.9952 0.7520 0.1927
0.2333 0.2284 0.7870
0.0862 0.4136 0.4899
0.0862 0.6578 0.4899
0.5717 0.8991 0.4899
0.2333 0.2283 0.1927
0.9952 0.7520 0.7871
0.7570 0.9902 0.7871
```

## Properties
- E_form: -3016 meV per atom
- Theoretical density: 1.6 g/cm3
- Crystal system: hexagonal

***

# 9
A relaxed YInCu crystal, computed with r²SCAN.

```
YInCu
1.0
3.7149 -6.4345 0.0000
3.7149 6.4345 0.0000
0.0000 0.0000 3.9474
Cu Y In
3 3 3
Direct
0.6667 0.3333 0.0000
0.3333 0.6667 0.0000
0.0000 0.0000 0.5000
0.4096 0.0000 0.5000
0.5904 0.5904 0.5000
0.0000 0.4096 0.5000
0.7465 0.0000 0.0000
0.0000 0.7465 0.0000
0.2535 0.2535 0.0000
```

## Properties
- E_form: -502 meV per atom
- Theoretical density: 7.1 g/cm3
- Crystal system: hexagonal

***

# 10
A relaxed HfAu9 crystal, computed with r²SCAN.

```
HfAu9
1.0
2.0414 4.6298 0.0614
-2.0414 4.6298 0.0614
0.0000 0.2131 9.3982
Au Hf
9 1
Direct
0.0000 0.0000 0.0000
0.0917 0.0917 0.6977
0.9083 0.9083 0.3023
0.7972 0.7972 0.5969
0.7017 0.7017 0.9013
0.3999 0.3999 0.7973
0.2028 0.2028 0.4031
0.6001 0.6001 0.2027
0.2983 0.2983 0.0987
0.5000 0.5000 0.5000
```

## Properties
- E_form: -213 meV per atom
- Theoretical density: 18.2 g/cm3
- Crystal system: monoclinic

***

# 11
A relaxed CaSn2Pd crystal, computed with r²SCAN.

```
CaSn2Pd
1.0
-4.3313 -0.4032 -0.9531
3.1694 -4.7784 -1.9778
-1.1124 -3.4308 6.5064
Pd Ca Sn
2 2 4
Direct
0.7971 0.5942 0.7500
0.2029 0.4058 0.2500
0.0698 0.1396 0.7500
0.9302 0.8604 0.2500
0.6416 0.2831 0.4545
0.6416 0.2831 0.0455
0.3584 0.7169 0.9545
0.3584 0.7169 0.5455
```

## Properties
- E_form: -681 meV per atom
- Theoretical density: 6.8 g/cm3
- Crystal system: orthorhombic

***

# 12
A relaxed Ba4Bi3F17 crystal, computed with r²SCAN.

```
Ba4Bi3F17
1.0
-2.5676 9.0702 -0.3696
-4.9198 1.8198 7.8896
5.7612 4.8061 5.8817
F Bi Ba
34 6 8
Direct
0.0038 0.0003 0.9960
0.3433 0.5486 0.2577
0.6631 0.4451 0.7615
0.6006 0.7059 0.1978
0.5570 0.2473 0.3382
0.5518 0.4189 0.5378
0.9531 0.5137 0.6416
0.0396 0.4956 0.3573
0.2650 0.0836 0.7806
0.0758 0.7900 0.2617
0.9796 0.8246 0.5446
0.9212 0.2158 0.7363
0.7406 0.6551 0.4523
0.3574 0.0463 0.4876
0.5060 0.6446 0.9583
0.5446 0.9819 0.8255
0.1974 0.5904 0.7077
0.1385 0.1440 0.1367
0.4005 0.2835 0.8197
0.8617 0.8582 0.8622
0.7320 0.1576 0.6091
0.2564 0.3472 0.5508
0.2921 0.8037 0.4048
0.8112 0.3986 0.2866
0.6434 0.9561 0.5065
0.0188 0.1782 0.4533
0.4893 0.3577 0.0463
0.1767 0.4572 0.0187
0.4526 0.0210 0.1772
0.7378 0.9249 0.2123
0.4497 0.7435 0.6550
0.8210 0.5472 0.9800
0.7882 0.2643 0.0750
0.2138 0.7369 0.9185
0.1534 0.6155 0.4650
0.8150 0.3841 0.5389
0.6153 0.4648 0.1604
0.5321 0.8459 0.3858
0.3852 0.5333 0.8387
0.4737 0.1780 0.6119
0.8867 0.0627 0.3115
0.2630 0.2703 0.2702
0.1115 0.9475 0.6868
0.9385 0.6888 0.1145
0.6903 0.1120 0.9420
0.0594 0.3138 0.8812
0.3084 0.8934 0.0530
0.7297 0.7365 0.7322
```

## Properties
- E_form: -3415 meV per atom
- Theoretical density: 6.6 g/cm3
- Crystal system: triclinic

***

# 13
A relaxed ScNiB4 crystal, computed with r²SCAN.

```
ScNiB4
1.0
3.2432 0.0000 0.0000
0.0000 5.7802 0.0000
0.0000 0.0000 11.2065
B Sc Ni
16 4 4
Direct
0.5000 0.7112 0.6865
0.5000 0.7888 0.1865
0.5000 0.4792 0.1937
0.5000 0.9792 0.3063
0.5000 0.8657 0.0324
0.5000 0.5208 0.8063
0.5000 0.2888 0.3135
0.5000 0.1343 0.9676
0.5000 0.8842 0.4512
0.5000 0.3842 0.0488
0.5000 0.1158 0.5488
0.5000 0.6343 0.5324
0.5000 0.3657 0.4676
0.5000 0.2112 0.8135
0.5000 0.0208 0.6937
0.5000 0.6158 0.9512
0.0000 0.6270 0.3496
0.0000 0.8730 0.8496
0.0000 0.1270 0.1504
0.0000 0.3730 0.6504
0.0000 0.3655 0.9116
0.0000 0.6345 0.0884
0.0000 0.8655 0.5884
0.0000 0.1345 0.4116
```

## Properties
- E_form: -595 meV per atom
- Theoretical density: 4.6 g/cm3
- Crystal system: orthorhombic

***

# 14
A relaxed BaMnO3 crystal, computed with r²SCAN.

```
BaMnO3
1.0
5.6666 0.0000 0.0000
2.8333 4.9074 0.0000
0.0000 0.0000 9.2504
Mn O Ba
4 12 4
Direct
0.6667 0.6667 0.8874
0.3333 0.3333 0.3874
0.6667 0.6667 0.6126
0.3333 0.3333 0.1126
0.1884 0.1884 0.2500
0.6232 0.1884 0.2500
0.5000 0.0000 0.0000
0.3768 0.8116 0.7500
0.0000 0.5000 0.0000
0.8116 0.3768 0.7500
0.0000 0.5000 0.5000
0.5000 0.0000 0.5000
0.5000 0.5000 0.5000
0.1884 0.6232 0.2500
0.8116 0.8116 0.7500
0.5000 0.5000 0.0000
0.3333 0.3333 0.7500
0.0000 0.0000 0.5000
0.0000 0.0000 0.0000
0.6667 0.6667 0.2500
```

## Properties
- E_form: -2580 meV per atom
- Theoretical density: 6.2 g/cm3
- Crystal system: hexagonal